1:
The following is a DFT calculation (PBE-GGA) of a relaxed Lu2MgSe4 crystal.

Cell lengths 7.333, 8.489, 13.809 Å; angles 81.08, 84.81, 89.96 degrees
Positions (direct):
Lu 0.132 0.446 0.202
Lu 0.132 0.954 0.199
Lu 0.258 0.125 0.500
Lu 0.363 0.300 0.799
Lu 0.637 0.700 0.201
Lu 0.742 0.875 0.500
Lu 0.868 0.046 0.801
Lu 0.868 0.554 0.798
Mg 0.251 0.625 0.502
Mg 0.367 0.801 0.798
Mg 0.633 0.199 0.202
Mg 0.749 0.375 0.498
Se 0.100 0.403 0.397
Se 0.101 0.899 0.395
Se 0.191 0.026 0.876
Se 0.191 0.537 0.875
Se 0.312 0.719 0.123
Se 0.320 0.219 0.124
Se 0.396 0.846 0.608
Se 0.401 0.352 0.604
Se 0.599 0.648 0.396
Se 0.604 0.154 0.392
Se 0.680 0.781 0.876
Se 0.688 0.281 0.877
Se 0.809 0.463 0.125
Se 0.809 0.974 0.124
Se 0.899 0.101 0.605
Se 0.900 0.597 0.603

2:
The following is a DFT calculation (PBE-GGA) of a relaxed Lu2MgSe4 crystal.

Cell lengths 7.456, 7.456, 7.456 Å; angles 110.31, 110.31, 107.81 degrees
Positions (direct):
Lu 0.007 0.625 0.882
Lu 0.375 0.257 0.382
Lu 0.743 0.125 0.118
Lu 0.875 0.993 0.618
Mg 0.250 0.750 0.500
Mg 0.500 0.500 0.000
Se 0.009 0.880 0.260
Se 0.120 0.380 0.129
Se 0.130 0.370 0.629
Se 0.251 0.991 0.871
Se 0.499 0.870 0.240
Se 0.620 0.749 0.740
Se 0.630 0.259 0.760
Se 0.741 0.501 0.371

The most stable arrangement is 2, and the next structure is 0.059 eV/atom less stable.

1:
The following is a DFT calculation (PBE-GGA) of a relaxed Er2MgSe4 crystal.

Cell lengths 13.085, 3.982, 13.924 Å; angles 90.00, 90.00, 90.00 degrees
Positions (direct):
Er 0.113 0.250 0.077
Er 0.144 0.250 0.703
Er 0.356 0.750 0.203
Er 0.387 0.750 0.577
Er 0.613 0.250 0.423
Er 0.644 0.250 0.797
Er 0.856 0.750 0.297
Er 0.887 0.750 0.923
Mg 0.117 0.750 0.439
Mg 0.383 0.250 0.939
Mg 0.617 0.750 0.061
Mg 0.883 0.250 0.561
Se 0.017 0.750 0.612
Se 0.033 0.250 0.881
Se 0.218 0.250 0.255
Se 0.244 0.250 0.516
Se 0.256 0.750 0.016
Se 0.282 0.750 0.755
Se 0.467 0.750 0.381
Se 0.483 0.250 0.112
Se 0.517 0.750 0.888
Se 0.533 0.250 0.619
Se 0.718 0.250 0.245
Se 0.744 0.250 0.984
Se 0.756 0.750 0.484
Se 0.782 0.750 0.745
Se 0.967 0.750 0.119
Se 0.983 0.250 0.388

2:
The following is a DFT calculation (PBE-GGA) of a relaxed Er2MgSe4 crystal.

Cell lengths 7.417, 8.594, 13.830 Å; angles 80.93, 84.66, 89.98 degrees
Positions (direct):
Er 0.132 0.445 0.201
Er 0.132 0.955 0.198
Er 0.258 0.126 0.500
Er 0.364 0.300 0.800
Er 0.636 0.700 0.200
Er 0.742 0.874 0.500
Er 0.868 0.045 0.802
Er 0.868 0.555 0.799
Mg 0.251 0.623 0.503
Mg 0.367 0.800 0.798
Mg 0.633 0.200 0.202
Mg 0.749 0.377 0.497
Se 0.097 0.405 0.398
Se 0.104 0.897 0.396
Se 0.193 0.540 0.874
Se 0.194 0.023 0.874
Se 0.311 0.719 0.123
Se 0.325 0.219 0.125
Se 0.394 0.845 0.609
Se 0.404 0.354 0.603
Se 0.596 0.646 0.397
Se 0.606 0.155 0.391
Se 0.675 0.781 0.875
Se 0.689 0.281 0.877
Se 0.806 0.977 0.126
Se 0.807 0.460 0.126
Se 0.896 0.103 0.604
Se 0.903 0.595 0.602

The most stable arrangement is 1, and the next structure is 0.120 eV/atom less stable.

1:
The following is a DFT calculation (PBE-GGA) of a relaxed K3NaP4H4O14 crystal.

Cell lengths 9.434, 9.434, 11.354 Å; angles 99.09, 99.09, 45.90 degrees
Positions (direct):
K 0.138 0.862 0.750
K 0.168 0.552 0.012
K 0.448 0.832 0.488
K 0.552 0.168 0.512
K 0.832 0.448 0.988
K 0.862 0.138 0.250
Na 0.000 0.500 0.500
Na 0.500 0.000 0.000
P 0.175 0.220 0.756
P 0.182 0.678 0.397
P 0.220 0.175 0.256
P 0.322 0.818 0.103
P 0.678 0.182 0.897
P 0.780 0.825 0.744
P 0.818 0.322 0.603
P 0.825 0.780 0.244
H 0.123 0.477 0.732
H 0.390 0.488 0.259
H 0.477 0.123 0.232
H 0.488 0.390 0.759
H 0.512 0.610 0.241
H 0.523 0.877 0.768
H 0.610 0.512 0.741
H 0.877 0.523 0.268
O 0.006 0.315 0.206
O 0.050 0.682 0.280
O 0.139 0.855 0.097
O 0.145 0.861 0.403
O 0.173 0.610 0.504
O 0.186 0.260 0.889
O 0.197 0.339 0.687
O 0.260 0.186 0.389
O 0.315 0.006 0.706
O 0.318 0.950 0.220
O 0.339 0.197 0.187
O 0.390 0.827 0.996
O 0.402 0.489 0.345
O 0.489 0.402 0.845
O 0.511 0.598 0.155
O 0.598 0.511 0.655
O 0.610 0.173 0.004
O 0.661 0.803 0.813
O 0.682 0.050 0.780
O 0.685 0.994 0.294
O 0.740 0.814 0.611
O 0.803 0.661 0.313
O 0.814 0.740 0.111
O 0.827 0.390 0.496
O 0.855 0.139 0.597
O 0.861 0.145 0.903
O 0.950 0.318 0.720
O 0.994 0.685 0.794

2:
The following is a DFT calculation (PBE-GGA) of a relaxed K3NaP4H4O14 crystal.

Cell lengths 9.321, 9.321, 11.170 Å; angles 99.39, 99.39, 46.13 degrees
Positions (direct):
K 0.111 0.447 0.443
K 0.168 0.832 0.500
K 0.439 0.838 0.222
K 0.447 0.111 0.943
K 0.832 0.168 0.000
K 0.838 0.439 0.722
Na 0.142 0.640 0.972
Na 0.640 0.142 0.472
P 0.309 0.833 0.864
P 0.424 0.466 0.716
P 0.454 0.964 0.578
P 0.466 0.424 0.216
P 0.813 0.856 0.727
P 0.833 0.309 0.364
P 0.856 0.813 0.227
P 0.964 0.454 0.078
H 0.064 0.230 0.205
H 0.116 0.765 0.206
H 0.165 0.513 0.738
H 0.230 0.064 0.705
H 0.513 0.165 0.238
H 0.623 0.651 0.964
H 0.651 0.623 0.464
H 0.765 0.116 0.706
O 0.035 0.182 0.312
O 0.048 0.454 0.974
O 0.111 0.240 0.129
O 0.182 0.035 0.812
O 0.235 0.824 0.970
O 0.240 0.111 0.629
O 0.300 0.448 0.786
O 0.322 0.695 0.746
O 0.328 0.638 0.272
O 0.388 0.447 0.581
O 0.447 0.388 0.081
O 0.448 0.300 0.286
O 0.454 0.048 0.474
O 0.528 0.746 0.890
O 0.529 0.755 0.557
O 0.583 0.961 0.698
O 0.638 0.328 0.772
O 0.643 0.949 0.171
O 0.695 0.322 0.246
O 0.746 0.528 0.390
O 0.755 0.529 0.057
O 0.824 0.235 0.470
O 0.831 0.980 0.658
O 0.833 0.891 0.863
O 0.891 0.833 0.363
O 0.949 0.643 0.671
O 0.961 0.583 0.198
O 0.980 0.831 0.158

The most stable arrangement is 2, and the next structure is 0.048 eV/atom less stable.